# 1
Compound: NaPF6
Source: Materials Project
Functional: PBE-GGA
Structure: optimized geometry

a b c (Å): 5.584 5.584 5.584
angles (deg): 60.00 60.00 60.00
Element x y z (fractional)
P (0.000, 0.000, 0.000)
F (0.793, 0.207, 0.207)
F (0.793, 0.207, 0.793)
F (0.207, 0.793, 0.207)
F (0.207, 0.793, 0.793)
F (0.207, 0.207, 0.793)
F (0.793, 0.793, 0.207)
Na (0.500, 0.500, 0.500)

Summary:
- Space-group type: No. 225
- VASP energy: -4.9737 eV per atom
- Theoretical density: 2.265 g cm⁻³

***

# 2
Compound: Na3PaF8
Source: Materials Project
Functional: PBE-GGA
Structure: optimized geometry

a b c (Å): 5.528 5.528 6.756
angles (deg): 114.15 114.15 90.00
Element x y z (fractional)
F (0.349, 0.349, 0.233)
F (0.884, 0.349, 0.233)
F (0.651, 0.116, 0.767)
F (0.884, 0.884, 0.233)
F (0.349, 0.884, 0.233)
F (0.116, 0.651, 0.767)
F (0.116, 0.116, 0.767)
F (0.651, 0.651, 0.767)
Na (0.250, 0.750, 0.500)
Na (0.500, 0.500, 0.000)
Na (0.750, 0.250, 0.500)
Pa (0.000, 0.000, 0.000)

Summary:
- Space-group type: No. 139
- VASP energy: -5.7383 eV per atom
- Theoretical density: 4.457 g cm⁻³

***

# 3
Compound: Rb2NaPbF6
Source: Materials Project
Functional: PBE-GGA
Structure: optimized geometry

a b c (Å): 6.454 6.454 6.454
angles (deg): 60.00 60.00 60.00
Element x y z (fractional)
Rb (0.750, 0.750, 0.750)
Rb (0.250, 0.250, 0.250)
F (0.248, 0.752, 0.752)
F (0.248, 0.752, 0.248)
F (0.752, 0.752, 0.248)
F (0.752, 0.248, 0.752)
F (0.752, 0.248, 0.248)
F (0.248, 0.248, 0.752)
Pb (0.000, 0.000, 0.000)
Na (0.500, 0.500, 0.500)

Summary:
- Space-group type: No. 225
- VASP energy: -4.3333 eV per atom
- Theoretical density: 4.500 g cm⁻³

***

# 4
Compound: NaPdF3
Source: Materials Project
Functional: PBE-GGA
Structure: optimized geometry

a b c (Å): 6.798 6.903 7.518
angles (deg): 62.89 105.72 89.23
Element x y z (fractional)
F (0.172, 0.279, 0.427)
F (0.116, 0.279, 0.866)
F (0.112, 0.865, 0.848)
F (0.601, 0.578, 0.843)
F (0.884, 0.721, 0.134)
F (0.220, 0.753, 0.508)
F (0.780, 0.247, 0.492)
F (0.538, 0.110, 0.779)
F (0.399, 0.422, 0.157)
F (0.828, 0.721, 0.573)
F (0.888, 0.135, 0.152)
F (0.462, 0.890, 0.221)
Pd (0.477, 0.260, 0.469)
Pd (0.523, 0.740, 0.531)
Pd (0.000, 0.000, 0.500)
Pd (0.000, 0.000, 0.000)
Na (0.000, 0.500, 0.500)
Na (0.495, 0.240, 0.998)
Na (0.505, 0.760, 0.002)
Na (0.000, 0.500, 0.000)

Summary:
- Space-group type: No. 2
- VASP energy: -4.2649 eV per atom
- Theoretical density: 4.149 g cm⁻³

***

# 5
Compound: NaZr2PdF11
Source: Materials Project
Functional: PBE-GGA
Structure: optimized geometry

a b c (Å): 5.860 5.860 7.966
angles (deg): 69.50 69.50 73.05
Element x y z (fractional)
Zr (0.500, 0.500, 0.768)
Zr (0.500, 0.500, 0.232)
F (0.333, 0.667, 0.000)
F (0.780, 0.200, 0.300)
F (0.258, 0.258, 0.350)
F (0.734, 0.734, 0.110)
F (0.800, 0.220, 0.700)
F (0.200, 0.780, 0.300)
F (0.500, 0.500, 0.500)
F (0.266, 0.266, 0.890)
F (0.220, 0.800, 0.700)
F (0.667, 0.333, 0.000)
F (0.742, 0.742, 0.650)
Na (0.000, 0.000, 0.000)
Pd (0.000, 0.000, 0.500)

Summary:
- Space-group type: No. 12
- VASP energy: -6.0239 eV per atom
- Theoretical density: 3.672 g cm⁻³

***

# 6
Compound: Rb2NaPrF6
Source: Materials Project
Functional: PBE-GGA
Structure: optimized geometry

a b c (Å): 6.533 6.533 6.533
angles (deg): 60.00 60.00 60.00
Element x y z (fractional)
F (0.751, 0.249, 0.751)
F (0.249, 0.249, 0.751)
F (0.249, 0.751, 0.751)
F (0.751, 0.249, 0.249)
F (0.751, 0.751, 0.249)
F (0.249, 0.751, 0.249)
Rb (0.250, 0.250, 0.250)
Rb (0.750, 0.750, 0.750)
Pr (0.000, 0.000, 0.000)
Na (0.500, 0.500, 0.500)

Summary:
- Space-group type: No. 225
- VASP energy: -5.1755 eV per atom
- Theoretical density: 3.781 g cm⁻³

***

# 7
Compound: Na2PtF6
Source: Materials Project
Functional: PBE-GGA
Structure: optimized geometry

a b c (Å): 9.448 9.448 5.195
angles (deg): 90.00 90.00 120.00
Element x y z (fractional)
Na (0.296, 0.000, 0.000)
Na (0.630, 0.000, 0.500)
Na (0.370, 0.370, 0.500)
Na (0.704, 0.704, 0.000)
Na (0.000, 0.296, 0.000)
Na (0.000, 0.630, 0.500)
F (0.467, 0.247, 0.210)
F (0.780, 0.533, 0.210)
F (0.893, 0.094, 0.709)
F (0.135, 0.549, 0.218)
F (0.094, 0.893, 0.291)
F (0.247, 0.467, 0.790)
F (0.549, 0.135, 0.782)
F (0.201, 0.107, 0.709)
F (0.906, 0.799, 0.709)
F (0.865, 0.414, 0.782)
F (0.533, 0.780, 0.790)
F (0.586, 0.451, 0.782)
F (0.753, 0.220, 0.210)
F (0.220, 0.753, 0.790)
F (0.414, 0.865, 0.218)
F (0.107, 0.201, 0.291)
F (0.451, 0.586, 0.218)
F (0.799, 0.906, 0.291)
Pt (0.000, 0.000, 0.500)
Pt (0.333, 0.667, 0.004)
Pt (0.667, 0.333, 0.996)

Summary:
- Space-group type: No. 150
- VASP energy: -4.3199 eV per atom
- Theoretical density: 4.404 g cm⁻³

***

# 8
Compound: NaPuF4
Source: Materials Project
Functional: PBE-GGA
Structure: optimized geometry

a b c (Å): 6.210 7.212 7.261
angles (deg): 61.94 64.46 64.59
Element x y z (fractional)
Pu (0.999, 0.501, 0.504)
Pu (0.002, 0.993, 0.001)
Pu (0.335, 0.395, 0.933)
Na (0.647, 0.657, 0.033)
Na (0.333, 0.878, 0.458)
Na (0.689, 0.139, 0.508)
F (0.030, 0.199, 0.170)
F (0.041, 0.653, 0.714)
F (0.998, 0.124, 0.625)
F (0.972, 0.620, 0.133)
F (0.278, 0.229, 0.737)
F (0.368, 0.324, 0.281)
F (0.603, 0.025, 0.996)
F (0.246, 0.752, 0.255)
F (0.751, 0.380, 0.891)
F (0.748, 0.877, 0.381)
F (0.365, 0.763, 0.830)
F (0.594, 0.491, 0.550)

Summary:
- Space-group type: No. 1
- VASP energy: -7.1907 eV per atom
- Theoretical density: 6.882 g cm⁻³

***

# 9
Compound: Rb2NaRhF6
Source: Materials Project
Functional: PBE-GGA
Structure: optimized geometry

a b c (Å): 6.127 6.127 6.127
angles (deg): 60.00 60.00 60.00
Element x y z (fractional)
F (0.767, 0.767, 0.233)
F (0.233, 0.767, 0.233)
F (0.233, 0.767, 0.767)
F (0.767, 0.233, 0.767)
F (0.233, 0.233, 0.767)
F (0.767, 0.233, 0.233)
Rh (0.000, 0.000, 0.000)
Rb (0.250, 0.250, 0.250)
Rb (0.750, 0.750, 0.750)
Na (0.500, 0.500, 0.500)

Summary:
- Space-group type: No. 225
- VASP energy: -4.5761 eV per atom
- Theoretical density: 4.194 g cm⁻³

***

# 10
Compound: Rb2NaRuF6
Source: Materials Project
Functional: PBE-GGA
Structure: optimized geometry

a b c (Å): 6.132 6.132 6.132
angles (deg): 60.00 60.00 60.00
Element x y z (fractional)
F (0.766, 0.234, 0.766)
F (0.766, 0.766, 0.234)
F (0.234, 0.234, 0.766)
F (0.766, 0.234, 0.234)
F (0.234, 0.766, 0.234)
F (0.234, 0.766, 0.766)
Rb (0.250, 0.250, 0.250)
Rb (0.750, 0.750, 0.750)
Ru (0.000, 0.000, 0.000)
Na (0.500, 0.500, 0.500)

Summary:
- Space-group type: No. 225
- VASP energy: -4.7551 eV per atom
- Theoretical density: 4.165 g cm⁻³

***

# 11
Compound: Rb2NaScF6
Source: Materials Project
Functional: PBE-GGA
Structure: optimized geometry

a b c (Å): 6.187 6.187 6.187
angles (deg): 60.00 60.00 60.00
Element x y z (fractional)
F (0.767, 0.233, 0.767)
F (0.233, 0.767, 0.767)
F (0.767, 0.767, 0.233)
F (0.233, 0.767, 0.233)
F (0.767, 0.233, 0.233)
F (0.233, 0.233, 0.767)
Rb (0.250, 0.250, 0.250)
Rb (0.750, 0.750, 0.750)
Na (0.500, 0.500, 0.500)
Sc (0.000, 0.000, 0.000)

Summary:
- Space-group type: No. 225
- VASP energy: -5.4090 eV per atom
- Theoretical density: 3.500 g cm⁻³

***

# 12
Compound: RbNaSnF6
Source: Materials Project
Functional: PBE-GGA
Structure: optimized geometry

a b c (Å): 8.337 11.172 13.385
angles (deg): 90.00 90.00 90.00
Element x y z (fractional)
F (0.710, 0.876, 0.722)
F (0.290, 0.124, 0.278)
F (0.215, 0.905, 0.184)
F (0.285, 0.905, 0.684)
F (0.189, 0.022, 0.998)
F (0.019, 0.116, 0.160)
F (0.288, 0.738, 0.924)
F (0.981, 0.384, 0.160)
F (0.210, 0.124, 0.778)
F (0.479, 0.530, 0.884)
F (0.790, 0.876, 0.222)
F (0.715, 0.095, 0.316)
F (0.021, 0.030, 0.616)
F (0.215, 0.405, 0.816)
F (0.712, 0.262, 0.076)
F (0.311, 0.522, 0.502)
F (0.785, 0.595, 0.184)
F (0.790, 0.376, 0.778)
F (0.021, 0.530, 0.384)
F (0.979, 0.970, 0.384)
F (0.710, 0.376, 0.278)
F (0.979, 0.470, 0.616)
F (0.521, 0.970, 0.884)
F (0.519, 0.884, 0.340)
F (0.689, 0.978, 0.502)
F (0.189, 0.522, 0.002)
F (0.521, 0.470, 0.116)
F (0.519, 0.384, 0.660)
F (0.981, 0.884, 0.840)
F (0.785, 0.095, 0.816)
F (0.285, 0.405, 0.316)
F (0.788, 0.262, 0.576)
F (0.811, 0.478, 0.998)
F (0.290, 0.624, 0.722)
F (0.481, 0.116, 0.660)
F (0.689, 0.478, 0.498)
F (0.288, 0.238, 0.076)
F (0.715, 0.595, 0.684)
F (0.712, 0.762, 0.924)
F (0.479, 0.030, 0.116)
F (0.212, 0.738, 0.424)
F (0.481, 0.616, 0.340)
F (0.210, 0.624, 0.222)
F (0.212, 0.238, 0.576)
F (0.811, 0.978, 0.002)
F (0.019, 0.616, 0.840)
F (0.788, 0.762, 0.424)
F (0.311, 0.022, 0.498)
Sn (0.751, 0.425, 0.135)
Sn (0.749, 0.925, 0.365)
Sn (0.249, 0.075, 0.135)
Sn (0.251, 0.075, 0.635)
Sn (0.251, 0.575, 0.365)
Sn (0.249, 0.575, 0.865)
Sn (0.749, 0.425, 0.635)
Sn (0.751, 0.925, 0.865)
Na (0.745, 0.575, 0.857)
Na (0.255, 0.425, 0.143)
Na (0.755, 0.075, 0.643)
Na (0.755, 0.575, 0.357)
Na (0.745, 0.075, 0.143)
Na (0.245, 0.425, 0.643)
Na (0.255, 0.925, 0.857)
Na (0.245, 0.925, 0.357)
Rb (0.000, 0.250, 0.925)
Rb (0.500, 0.750, 0.575)
Rb (0.500, 0.250, 0.869)
Rb (0.500, 0.250, 0.425)
Rb (0.000, 0.750, 0.075)
Rb (0.000, 0.250, 0.369)
Rb (0.500, 0.750, 0.131)
Rb (0.000, 0.750, 0.631)

Summary:
- Space-group type: No. 60
- VASP energy: -4.6867 eV per atom
- Theoretical density: 3.635 g cm⁻³

***

> Among the records above, which one has the highest VASP energy?

NaPdF3

***

> Which of these has the highest theoretical density?

NaPuF4

***

> The highest VASP energy belongs to which entry?

NaPdF3

***

> Among the records above, which one has the highest theoretical density?

NaPuF4